Pr2CBr: relaxed, PBE.

Computed properties:
space-group type	P6_3/mmc, No. 194
energy of formation from the pure elements	-1010	meV/atom
volume	24.15	Å³ per atom
density	6.42	g cm⁻³
total energy after the MP2020 corrections	-6.1165	eV per atom

abc: 3.850 3.850 15.056
angles: 90.00 90.00 120.00
Atoms (fractional coordinates):
Pr: 0.333 0.667 0.092
Pr: 0.333 0.667 0.408
Pr: 0.667 0.333 0.592
Pr: 0.667 0.333 0.908
C: 0.000 0.000 0.000
C: 0.000 0.000 0.500
Br: 0.333 0.667 0.750
Br: 0.667 0.333 0.250



LiNpRh2: relaxed, PBE.

Computed properties:
space-group type	Fm-3m, No. 225
energy of formation from the pure elements	-361	meV/atom
volume	16.55	Å³ per atom
density	11.28	g cm⁻³

abc: 4.540 4.540 4.540
angles: 60.00 60.00 60.00
Atoms (fractional coordinates):
Li: 0.000 0.000 0.000
Np: 0.500 0.500 0.500
Rh: 0.250 0.250 0.250
Rh: 0.750 0.750 0.750



CsMg6Al: relaxed, PBE.

Computed properties:
energy of formation from the pure elements	313	meV/atom
volume	28.51	Å³ per atom
E above lowest polymorph	93.6	meV per atom
density	2.23	g cm⁻³

abc: 5.098 7.257 12.330
angles: 90.00 90.00 90.00
Atoms (fractional coordinates):
Cs: 0.500 0.500 0.164
Cs: 0.500 0.000 0.664
Mg: 0.000 0.207 0.069
Mg: 0.000 0.793 0.069
Mg: 0.000 0.500 0.835
Mg: 0.500 0.231 0.915
Mg: 0.500 0.769 0.915
Mg: 0.500 0.500 0.666
Mg: 0.000 0.707 0.569
Mg: 0.000 0.293 0.569
Mg: 0.000 0.000 0.335
Mg: 0.500 0.731 0.415
Mg: 0.500 0.269 0.415
Mg: 0.500 0.000 0.166
Al: 0.000 0.500 0.367
Al: 0.000 0.000 0.867



Cs4UC3O11: relaxed, PBE.

Computed properties:
space-group type	C2/c, No. 15
energy of formation from the pure elements	-2456	meV/atom
volume	19.92	Å³ per atom
density	4.31	g cm⁻³
total energy after the MP2020 corrections	-7.5609	eV per atom

abc: 7.649 7.649 13.179
angles: 92.37 92.37 79.41
Atoms (fractional coordinates):
Cs: 0.065 0.720 0.962
Cs: 0.147 0.482 0.654
Cs: 0.280 0.935 0.538
Cs: 0.482 0.147 0.154
Cs: 0.518 0.853 0.846
Cs: 0.720 0.065 0.462
Cs: 0.853 0.518 0.346
Cs: 0.935 0.280 0.038
U: 0.315 0.685 0.250
U: 0.685 0.315 0.750
C: 0.017 0.983 0.250
C: 0.344 0.423 0.405
C: 0.423 0.344 0.905
C: 0.577 0.656 0.095
C: 0.656 0.577 0.595
C: 0.983 0.017 0.750
O: 0.053 0.871 0.325
O: 0.113 0.887 0.750
O: 0.129 0.947 0.175
O: 0.173 0.542 0.184
O: 0.235 0.578 0.412
O: 0.293 0.330 0.958
O: 0.330 0.293 0.458
O: 0.415 0.466 0.836
O: 0.422 0.765 0.088
O: 0.458 0.827 0.316
O: 0.466 0.415 0.336
O: 0.534 0.585 0.664
O: 0.542 0.173 0.684
O: 0.578 0.235 0.912
O: 0.585 0.534 0.164
O: 0.670 0.707 0.542
O: 0.707 0.670 0.042
O: 0.765 0.422 0.588
O: 0.827 0.458 0.816
O: 0.871 0.053 0.825
O: 0.887 0.113 0.250
O: 0.947 0.129 0.675



SrMg2Al6Si9O30: relaxed, PBE.

Computed properties:
space-group type	P1, No. 1
energy of formation from the pure elements	-3322	meV/atom
volume	13.68	Å³ per atom
density	2.61	g cm⁻³
total energy after the MP2020 corrections	-8.0014	eV per atom

abc: 10.260 10.322 14.272
angles: 89.48 89.33 60.34
Atoms (fractional coordinates):
Sr: 0.000 0.000 0.000
Sr: 0.024 0.989 0.500
Mg: 0.338 0.324 0.996
Mg: 0.340 0.315 0.494
Mg: 0.683 0.649 0.495
Mg: 0.684 0.647 0.996
Al: 0.010 0.483 0.491
Al: 0.019 0.482 0.996
Al: 0.115 0.643 0.131
Al: 0.117 0.222 0.629
Al: 0.120 0.225 0.856
Al: 0.260 0.088 0.357
Al: 0.503 0.491 0.991
Al: 0.512 0.981 0.994
Al: 0.514 0.480 0.496
Al: 0.515 0.986 0.494
Al: 0.653 0.236 0.130
Al: 0.912 0.741 0.629
Si: 0.112 0.647 0.357
Si: 0.259 0.635 0.851
Si: 0.262 0.633 0.630
Si: 0.263 0.089 0.132
Si: 0.361 0.882 0.854
Si: 0.362 0.742 0.132
Si: 0.365 0.734 0.356
Si: 0.365 0.878 0.631
Si: 0.655 0.237 0.355
Si: 0.665 0.086 0.633
Si: 0.668 0.081 0.856
Si: 0.762 0.334 0.633
Si: 0.764 0.885 0.129
Si: 0.766 0.330 0.857
Si: 0.768 0.890 0.354
Si: 0.910 0.326 0.354
Si: 0.914 0.739 0.857
Si: 0.916 0.322 0.130
O: 0.067 0.182 0.387
O: 0.083 0.711 0.884
O: 0.085 0.184 0.100
O: 0.090 0.716 0.597
O: 0.127 0.611 0.249
O: 0.142 0.503 0.419
O: 0.146 0.242 0.742
O: 0.151 0.339 0.555
O: 0.155 0.342 0.926
O: 0.155 0.486 0.068
O: 0.218 0.029 0.594
O: 0.219 0.730 0.097
O: 0.222 0.035 0.894
O: 0.227 0.705 0.391
O: 0.278 0.594 0.741
O: 0.281 0.113 0.240
O: 0.306 0.904 0.387
O: 0.311 0.757 0.877
O: 0.315 0.915 0.106
O: 0.328 0.745 0.606
O: 0.366 0.491 0.914
O: 0.369 0.485 0.568
O: 0.370 0.124 0.064
O: 0.377 0.126 0.425
O: 0.399 0.708 0.243
O: 0.399 0.877 0.742
O: 0.502 0.352 0.061
O: 0.507 0.629 0.066
O: 0.510 0.843 0.918
O: 0.511 0.620 0.419
O: 0.512 0.846 0.568
O: 0.515 0.338 0.425
O: 0.519 0.116 0.574
O: 0.522 0.112 0.917
O: 0.612 0.263 0.248
O: 0.636 0.089 0.745
O: 0.651 0.843 0.070
O: 0.654 0.478 0.919
O: 0.655 0.482 0.570
O: 0.660 0.850 0.419
O: 0.702 0.219 0.605
O: 0.722 0.051 0.096
O: 0.725 0.197 0.885
O: 0.731 0.059 0.384
O: 0.738 0.370 0.746
O: 0.744 0.873 0.243
O: 0.783 0.280 0.385
O: 0.809 0.917 0.888
O: 0.809 0.932 0.599
O: 0.811 0.255 0.099
O: 0.871 0.626 0.560
O: 0.878 0.473 0.414
O: 0.878 0.632 0.926
O: 0.880 0.472 0.068
O: 0.895 0.717 0.749
O: 0.904 0.358 0.242
O: 0.935 0.252 0.600
O: 0.935 0.781 0.096
O: 0.937 0.257 0.890
O: 0.945 0.791 0.385



MgSi: relaxed, PBE.

Computed properties:
space-group type	P1, No. 1
energy of formation from the pure elements	154	meV/atom
volume	18.22	Å³ per atom
density	2.39	g cm⁻³
total energy after the MP2020 corrections	-3.3586	eV per atom

abc: 5.000 5.032 9.207
angles: 94.49 95.07 107.49
Atoms (fractional coordinates):
Mg: 0.000 0.000 0.000
Mg: 0.064 0.556 0.203
Mg: 0.355 0.405 0.665
Mg: 0.486 0.520 0.000
Mg: 0.793 0.338 0.463
Mg: 0.889 0.879 0.666
Si: 0.173 0.119 0.334
Si: 0.353 0.863 0.520
Si: 0.469 0.988 0.830
Si: 0.523 0.048 0.148
Si: 0.687 0.778 0.333
Si: 0.899 0.419 0.832